(1)
Gd3Y | PBE | relaxed

## Properties
Formation energy from the elements (eV per formula unit): 0.14
Calculated volume (Å³/atom): 32.105

a = 5.045 Å, b = 5.045 Å, c = 5.045 Å
α = 90.00°, β = 90.00°, γ = 90.00°
Sites, in units of the cell vectors:
1 Y 0.000 0.000 0.000
2 Gd 0.500 0.000 0.500
3 Gd 0.000 0.500 0.500
4 Gd 0.500 0.500 0.000

(2)
ErAl3C3 | PBE | relaxed

## Properties
Formation energy from the elements (eV per formula unit): -2.19
Calculated volume (Å³/atom): 12.491

a = 3.419 Å, b = 3.419 Å, c = 17.273 Å
α = 90.00°, β = 90.00°, γ = 120.00°
Sites, in units of the cell vectors:
1 Al 0.667 0.333 0.633
2 Al 0.667 0.333 0.250
3 Al 0.333 0.667 0.750
4 Al 0.333 0.667 0.367
5 Al 0.667 0.333 0.867
6 Al 0.333 0.667 0.133
7 Er 0.000 0.000 0.000
8 Er 0.000 0.000 0.500
9 C 0.333 0.667 0.591
10 C 0.333 0.667 0.909
11 C 0.667 0.333 0.091
12 C 0.667 0.333 0.409
13 C 0.333 0.667 0.250
14 C 0.667 0.333 0.750

(3)
ZnSbAs2SeO7 | PBE | relaxed

## Properties
Formation energy from the elements (eV per formula unit): -16.93
Total energy after the MP2020 corrections (eV per formula unit): -69.77
Calculated volume (Å³/atom): 17.757

a = 13.741 Å, b = 13.741 Å, c = 13.741 Å
α = 98.57°, β = 98.57°, γ = 134.59°
Sites, in units of the cell vectors:
1 O 0.826 0.086 0.886
2 O 0.093 0.745 0.845
3 O 0.220 0.595 0.454
4 O 0.708 0.432 0.113
5 O 0.255 0.099 0.348
6 O 0.517 0.216 0.187
7 O 0.784 0.971 0.301
8 O 0.800 0.595 0.526
9 O 0.349 0.501 0.345
10 O 0.316 0.817 0.955
11 O 0.934 0.933 0.545
12 O 0.450 0.155 0.974
13 O 0.157 0.005 0.655
14 O 0.931 0.155 0.613
15 O 0.524 0.550 0.705
16 O 0.050 0.810 0.386
17 O 0.016 0.970 0.125
18 O 0.319 0.595 0.887
19 O 0.542 0.318 0.387
20 O 0.109 0.984 0.954
21 O 0.682 0.069 0.224
22 O 0.336 0.950 0.760
23 O 0.845 0.819 0.295
24 O 0.751 0.907 0.652
25 O 0.726 0.200 0.795
26 O 0.405 0.859 0.625
27 O 0.181 0.476 0.026
28 O 0.060 0.174 0.260
29 O 0.733 0.534 0.313
30 O 0.388 0.389 0.455
31 O 0.901 0.249 0.155
32 O 0.405 0.292 0.724
33 O 0.914 0.800 0.740
34 O 0.190 0.576 0.240
35 O 0.670 0.483 0.699
36 O 0.580 0.267 0.801
37 O 0.499 0.843 0.848
38 O 0.183 0.138 0.499
39 O 0.030 0.155 0.046
40 O 0.845 0.891 0.875
41 O 0.029 0.330 0.813
42 O 0.405 0.931 0.205
43 O 0.424 0.664 0.614
44 O 0.200 0.940 0.114
45 O 0.995 0.651 0.152
46 O 0.221 0.420 0.687
47 O 0.845 0.458 0.776
48 O 0.611 0.066 0.999
49 O 0.568 0.681 0.276
50 O 0.069 0.274 0.474
51 O 0.067 0.612 0.001
52 O 0.862 0.361 0.045
53 O 0.639 0.684 0.501
54 O 0.466 0.779 0.199
55 O 0.234 0.780 0.375
56 O 0.141 0.766 0.546
57 As 0.219 0.880 0.463
58 As 0.667 0.249 0.717
59 As 0.050 0.333 0.582
60 As 0.499 0.282 0.082
61 As 0.006 0.969 0.839
62 As 0.583 0.501 0.783
63 As 0.244 0.781 0.661
64 As 0.200 0.417 0.918
65 As 0.834 0.994 0.963
66 As 0.416 0.756 0.537
67 As 0.120 0.584 0.339
68 As 0.130 0.166 0.161
69 As 0.718 0.800 0.217
70 As 0.031 0.870 0.037
71 As 0.532 0.950 0.283
72 As 0.751 0.468 0.418
73 Zn 0.939 0.804 0.597
74 Zn 0.311 0.946 0.903
75 Zn 0.196 0.793 0.136
76 Zn 0.592 0.689 0.636
77 Zn 0.207 0.342 0.403
78 Zn 0.043 0.408 0.097
79 Zn 0.658 0.061 0.864
80 Zn 0.054 0.957 0.364
81 Se 0.380 0.141 0.748
82 Se 0.883 0.130 0.739
83 Se 0.857 0.117 0.248
84 Se 0.870 0.609 0.752
85 Se 0.859 0.607 0.239
86 Se 0.393 0.633 0.252
87 Se 0.367 0.620 0.761
88 Se 0.391 0.143 0.261
89 Sb 0.747 0.240 0.135
90 Sb 0.503 0.510 0.365
91 Sb 0.490 0.854 0.993
92 Sb 0.862 0.497 0.007
93 Sb 0.146 0.138 0.635
94 Sb 0.760 0.896 0.507
95 Sb 0.104 0.612 0.865
96 Sb 0.388 0.253 0.493

(4)
Ba2NaUO6 | PBE | relaxed

## Properties
Formation energy from the elements (eV per formula unit): -30.79
Total energy after the MP2020 corrections (eV per formula unit): -76.93
Calculated volume (Å³/atom): 16.551

a = 6.112 Å, b = 6.214 Å, c = 8.716 Å
α = 90.00°, β = 90.00°, γ = 90.00°
Sites, in units of the cell vectors:
1 Ba 0.500 0.989 0.242
2 Ba 0.500 0.011 0.758
3 Ba 0.000 0.489 0.258
4 Ba 0.000 0.511 0.742
5 O 0.500 0.472 0.765
6 O 0.236 0.237 0.511
7 O 0.264 0.263 0.011
8 O 0.264 0.737 0.989
9 O 0.764 0.237 0.511
10 O 0.736 0.737 0.989
11 O 0.736 0.263 0.011
12 O 0.236 0.763 0.489
13 O 0.764 0.763 0.489
14 O 0.000 0.972 0.735
15 O 0.500 0.528 0.235
16 O 0.000 0.028 0.265
17 U 0.000 0.000 0.500
18 U 0.500 0.500 0.000
19 Na 0.000 0.000 0.000
20 Na 0.500 0.500 0.500

(5)
LaCePt2 | PBE | relaxed

## Properties
Formation energy from the elements (eV per formula unit): -4.48
Calculated volume (Å³/atom): 24.597

a = 5.945 Å, b = 5.945 Å, c = 4.495 Å
α = 90.00°, β = 90.00°, γ = 141.73°
Sites, in units of the cell vectors:
1 La 0.863 0.137 0.500
2 Pt 0.595 0.405 0.500
3 Pt 0.409 0.591 0.000
4 Ce 0.133 0.867 0.000

(6)
Bi3Au | PBE | relaxed

## Properties
Formation energy from the elements (eV per formula unit): 0.59
Calculated volume (Å³/atom): 28.503
ΔE to the lowest computed polymorph (eV/f.u.): 0.00

a = 5.443 Å, b = 5.443 Å, c = 5.443 Å
α = 60.00°, β = 60.00°, γ = 60.00°
Sites, in units of the cell vectors:
1 Au 0.000 0.000 0.000
2 Bi 0.250 0.250 0.250
3 Bi 0.500 0.500 0.500
4 Bi 0.750 0.750 0.750

(7)
B5W2 | PBE | relaxed

## Properties
Formation energy from the elements (eV per formula unit): 1.85
Calculated volume (Å³/atom): 8.504
ΔE to the lowest computed polymorph (eV/f.u.): 0.10

a = 3.102 Å, b = 3.102 Å, c = 14.290 Å
α = 90.00°, β = 90.00°, γ = 120.00°
Sites, in units of the cell vectors:
1 W 0.333 0.667 0.135
2 W 0.667 0.333 0.865
3 W 0.333 0.667 0.365
4 W 0.667 0.333 0.635
5 B 0.000 0.000 0.250
6 B 0.333 0.667 0.973
7 B 0.000 0.000 0.750
8 B 0.000 0.000 0.000
9 B 0.333 0.667 0.527
10 B 0.667 0.333 0.027
11 B 0.667 0.333 0.250
12 B 0.667 0.333 0.473
13 B 0.000 0.000 0.500
14 B 0.333 0.667 0.750

(8)
Lu3Mg | PBE | relaxed

## Properties
Formation energy from the elements (eV per formula unit): 0.32
Calculated volume (Å³/atom): 28.450

a = 3.315 Å, b = 3.315 Å, c = 10.937 Å
α = 90.00°, β = 90.00°, γ = 108.81°
Sites, in units of the cell vectors:
1 Lu 0.000 0.000 0.500
2 Lu 0.500 0.500 0.751
3 Lu 0.500 0.500 0.249
4 Mg 0.000 0.000 0.000

(9)
EuZnSn | PBE | relaxed

## Properties
Formation energy from the elements (eV per formula unit): -1.66
Calculated volume (Å³/atom): 25.384

a = 4.800 Å, b = 7.819 Å, c = 8.115 Å
α = 90.00°, β = 90.00°, γ = 90.00°
Sites, in units of the cell vectors:
1 Zn 0.750 0.321 0.417
2 Zn 0.250 0.179 0.917
3 Zn 0.750 0.821 0.083
4 Zn 0.250 0.679 0.583
5 Sn 0.750 0.708 0.409
6 Sn 0.250 0.792 0.909
7 Sn 0.250 0.292 0.591
8 Sn 0.750 0.208 0.091
9 Eu 0.750 0.003 0.711
10 Eu 0.250 0.497 0.211
11 Eu 0.750 0.503 0.789
12 Eu 0.250 0.997 0.289

(10)
CoH15PdN5Cl5 | PBE | relaxed

## Properties
Formation energy from the elements (eV per formula unit): -17.01
Total energy after the MP2020 corrections (eV per formula unit): -131.11
Calculated volume (Å³/atom): 11.754

a = 8.109 Å, b = 9.426 Å, c = 16.607 Å
α = 90.00°, β = 90.00°, γ = 90.00°
Sites, in units of the cell vectors:
1 N 0.497 0.714 0.314
2 N 0.320 0.532 0.842
3 N 0.317 0.752 0.955
4 N 0.667 0.534 0.845
5 N 0.997 0.286 0.686
6 N 0.667 0.966 0.345
7 N 0.817 0.252 0.545
8 N 0.320 0.968 0.342
9 N 0.317 0.748 0.455
10 N 0.163 0.247 0.042
11 N 0.997 0.214 0.186
12 N 0.820 0.032 0.658
13 N 0.167 0.034 0.655
14 N 0.663 0.747 0.458
15 N 0.163 0.253 0.542
16 N 0.820 0.468 0.158
17 N 0.167 0.466 0.155
18 N 0.817 0.248 0.045
19 N 0.497 0.786 0.814
20 N 0.663 0.753 0.958
21 H 0.566 0.744 0.264
22 H 0.851 0.216 0.988
23 H 0.320 0.427 0.860
24 H 0.351 0.716 0.512
25 H 0.712 0.307 0.037
26 H 0.566 0.756 0.764
27 H 0.212 0.807 0.463
28 H 0.282 0.844 0.926
29 H 0.880 0.193 0.207
30 H 0.544 0.880 0.836
31 H 0.320 0.073 0.360
32 H 0.622 0.462 0.804
33 H 0.851 0.284 0.488
34 H 0.252 0.293 0.580
35 H 0.338 0.968 0.280
36 H 0.351 0.784 0.012
37 H 0.118 0.340 0.511
38 H 0.735 0.023 0.386
39 H 0.380 0.807 0.793
40 H 0.622 0.038 0.304
41 H 0.252 0.207 0.080
42 H 0.202 0.569 0.849
43 H 0.702 0.431 0.151
44 H 0.118 0.160 0.011
45 H 0.122 0.538 0.196
46 H 0.618 0.840 0.989
47 H 0.838 0.468 0.220
48 H 0.248 0.403 0.186
49 H 0.224 0.191 0.501
50 H 0.044 0.380 0.664
51 H 0.544 0.620 0.336
52 H 0.066 0.256 0.736
53 H 0.748 0.597 0.814
54 H 0.235 0.523 0.114
55 H 0.212 0.693 0.963
56 H 0.782 0.156 0.074
57 H 0.712 0.193 0.537
58 H 0.235 0.977 0.614
59 H 0.752 0.707 0.420
60 H 0.224 0.309 0.001
61 H 0.735 0.477 0.886
62 H 0.702 0.069 0.651
63 H 0.724 0.691 0.999
64 H 0.044 0.120 0.164
65 H 0.618 0.660 0.489
66 H 0.782 0.344 0.574
67 H 0.724 0.809 0.499
68 H 0.282 0.656 0.426
69 H 0.880 0.307 0.707
70 H 0.202 0.931 0.349
71 H 0.338 0.532 0.780
72 H 0.066 0.244 0.236
73 H 0.820 0.927 0.640
74 H 0.380 0.693 0.293
75 H 0.752 0.793 0.920
76 H 0.748 0.903 0.314
77 H 0.838 0.032 0.720
78 H 0.122 0.962 0.696
79 H 0.820 0.573 0.140
80 H 0.248 0.097 0.686
81 Cl 0.215 0.340 0.341
82 Cl 0.003 0.737 0.288
83 Cl 0.492 0.014 0.504
84 Cl 0.992 0.986 0.496
85 Cl 0.997 0.929 0.029
86 Cl 0.288 0.830 0.154
87 Cl 0.503 0.263 0.712
88 Cl 0.715 0.660 0.659
89 Cl 0.492 0.486 0.004
90 Cl 0.503 0.237 0.212
91 Cl 0.288 0.670 0.654
92 Cl 0.788 0.330 0.346
93 Cl 0.497 0.429 0.471
94 Cl 0.997 0.571 0.529
95 Cl 0.788 0.170 0.846
96 Cl 0.215 0.160 0.841
97 Cl 0.497 0.071 0.971
98 Cl 0.992 0.514 0.996
99 Cl 0.715 0.840 0.159
100 Cl 0.003 0.763 0.788
101 Co 0.992 0.356 0.100
102 Co 0.992 0.144 0.600
103 Co 0.492 0.856 0.400
104 Co 0.492 0.644 0.900
105 Pd 0.502 0.336 0.342
106 Pd 0.002 0.664 0.658
107 Pd 0.502 0.164 0.842
108 Pd 0.002 0.836 0.158

(11)
TeO2 | PBE | relaxed

## Properties
Formation energy from the elements (eV per formula unit): -4.45
Total energy after the MP2020 corrections (eV per formula unit): -17.49
Calculated volume (Å³/atom): 15.690
Piezoelectric modulus e_max (C/m2): 0.1

a = 4.969 Å, b = 4.969 Å, c = 7.626 Å
α = 90.00°, β = 90.00°, γ = 90.00°
Sites, in units of the cell vectors:
1 O 0.645 0.245 0.441
2 O 0.145 0.255 0.809
3 O 0.355 0.755 0.941
4 O 0.745 0.855 0.691
5 O 0.755 0.355 0.059
6 O 0.255 0.145 0.191
7 O 0.245 0.645 0.559
8 O 0.855 0.745 0.309
9 Te 0.968 0.968 0.500
10 Te 0.468 0.532 0.750
11 Te 0.032 0.032 0.000
12 Te 0.532 0.468 0.250

(12)
Ce3Er | PBE | relaxed

## Properties
Formation energy from the elements (eV per formula unit): 0.36
Calculated volume (Å³/atom): 28.700
ΔE to the lowest computed polymorph (eV/f.u.): 0.00

a = 5.992 Å, b = 5.992 Å, c = 5.992 Å
α = 132.48°, β = 132.48°, γ = 69.47°
Sites, in units of the cell vectors:
1 Ce 0.500 0.500 0.000
2 Ce 0.250 0.750 0.500
3 Ce 0.750 0.250 0.500
4 Er 0.000 0.000 0.000

(13)
TlGeI3 | PBE | relaxed

## Properties
Formation energy from the elements (eV per formula unit): -3.44
Total energy after the MP2020 corrections (eV per formula unit): -15.00
Calculated volume (Å³/atom): 38.414

a = 4.455 Å, b = 10.410 Å, c = 16.567 Å
α = 90.00°, β = 90.00°, γ = 90.00°
Sites, in units of the cell vectors:
1 Ge 0.750 0.335 0.442
2 Ge 0.250 0.665 0.558
3 Ge 0.250 0.165 0.942
4 Ge 0.750 0.835 0.058
5 I 0.750 0.485 0.611
6 I 0.250 0.665 0.991
7 I 0.250 0.294 0.788
8 I 0.750 0.206 0.288
9 I 0.750 0.985 0.889
10 I 0.250 0.165 0.509
11 I 0.250 0.794 0.712
12 I 0.250 0.015 0.111
13 I 0.250 0.515 0.389
14 I 0.750 0.835 0.491
15 I 0.750 0.706 0.212
16 I 0.750 0.335 0.009
17 Tl 0.250 0.934 0.326
18 Tl 0.750 0.566 0.826
19 Tl 0.750 0.066 0.674
20 Tl 0.250 0.434 0.174